Mg2Si3 | PBE-GGA | relaxed

Geometry as extended XYZ:
```
10
Lattice="5.8592 -1.9453 0.0000 5.8592 1.9453 0.0000 -3.5286 0.0000 8.4521" Properties=species:S:1:pos:R:3 pbc="T T T"
Mg -1.9241 0.0000 8.4510
Mg 0.8608 0.0000 2.9665
Mg 7.3289 0.0000 5.4857
Mg 10.1138 0.0000 0.0011
Si -0.8657 0.0000 5.0500
Si 3.5445 0.0000 1.9898
Si 2.3361 0.0000 7.2174
Si 5.8537 0.0000 1.2347
Si 4.6452 0.0000 6.4624
Si 9.0555 0.0000 3.4022
```

## Properties
Its total energy after the MP2020 corrections is -37.921 eV per cell. Its crystal system is monoclinic. The calculated formation energy comes out at 0.103 eV/atom. The volume comes out at 192.7 Å³ per cell.

***

Mg3Si4 | PBE-GGA | relaxed

Geometry as extended XYZ:
```
14
Lattice="5.8336 0.0000 0.0000 0.1905 5.9309 0.0000 2.3327 1.8082 7.4124" Properties=species:S:1:pos:R:3 pbc="T T T"
Mg 0.0000 0.0000 0.0000
Mg 1.5294 2.4989 4.6246
Mg 3.3247 4.7298 6.9151
Mg 3.0908 5.1258 3.7037
Mg 3.0306 5.5474 0.4436
Mg 4.3376 1.5916 2.5316
Si 1.3716 1.0984 2.1700
Si 1.4747 3.5743 2.0373
Si 4.5377 6.8448 5.3308
Si 4.7142 3.2914 5.1527
Si 6.3509 3.8978 6.9935
Si 4.8759 4.0256 1.6332
Si 6.0107 5.0910 3.5622
Si 6.7971 5.9001 5.7169
```

## Properties
Its total energy after the MP2020 corrections is -50.832 eV per cell. Its crystal system is triclinic. The calculated formation energy comes out at 0.155 eV/atom. The volume comes out at 256.5 Å³ per cell.

***

Mg4Si3 | PBE-GGA | relaxed

Geometry as extended XYZ:
```
14
Lattice="4.6857 0.0000 0.0000 1.0003 7.4387 0.0000 1.1180 0.4325 7.5217" Properties=species:S:1:pos:R:3 pbc="T T T"
Mg 0.5328 2.1952 0.2445
Mg 1.7270 0.6728 5.4910
Mg 2.7533 5.8595 3.5879
Mg 2.8015 3.6122 1.5461
Mg 4.0025 4.2590 5.9756
Mg 4.0507 2.0117 3.9338
Mg 5.0770 7.1984 2.0307
Mg 6.2713 5.6760 7.2772
Si 1.6611 3.4306 4.7336
Si 1.7337 1.1098 2.5019
Si 2.7630 6.5440 0.5835
Si 4.0411 1.3272 6.9383
Si 5.0704 6.7614 5.0198
Si 5.1430 4.4406 2.7881
```

## Properties
Its total energy after the MP2020 corrections is -43.950 eV per cell. Its crystal system is triclinic. The calculated formation energy comes out at 0.100 eV/atom. The volume comes out at 262.2 Å³ per cell.

***

Mg4Si7 | PBE-GGA | relaxed

Geometry as extended XYZ:
```
22
Lattice="3.9490 0.0000 0.0000 0.0005 6.9197 0.0000 1.8205 0.6907 14.6904" Properties=species:S:1:pos:R:3 pbc="T T T"
Mg 0.0000 0.0000 0.0000
Mg 1.8281 4.1071 13.5543
Mg 1.9136 0.9765 6.6294
Mg 1.9615 2.1267 1.1206
Mg 3.8475 4.1503 10.9983
Mg 3.8485 0.7480 9.6039
Mg 3.9238 0.9385 3.3718
Mg 3.9395 4.2591 2.2437
Si 1.8358 6.3696 11.4439
Si 1.8407 1.9565 11.4480
Si 1.8888 5.4496 9.1645
Si 1.9010 2.9642 9.2083
Si 1.9478 2.8784 3.9744
Si 1.9771 5.3431 4.1293
Si 1.9453 6.4501 1.9835
Si 1.9675 4.7406 0.3169
Si 3.8094 2.0904 13.0447
Si 3.8104 6.5144 12.8729
Si 3.8872 5.3738 7.7678
Si 3.8887 2.8563 7.7344
Si 3.9285 3.3114 5.3722
Si 3.9616 5.9228 5.4234
```

## Properties
Its total energy after the MP2020 corrections is -85.118 eV per cell. Its crystal system is triclinic. The calculated formation energy comes out at 0.165 eV/atom. The volume comes out at 401.4 Å³ per cell.

***

Mg4Si3 | PBE-GGA | relaxed

Geometry as extended XYZ:
```
14
Lattice="4.4071 -6.4831 0.0000 4.4071 6.4831 0.0000 -2.8533 0.0000 4.6098" Properties=species:S:1:pos:R:3 pbc="T T T"
Mg 0.0000 0.0000 0.0000
Mg 2.8553 4.0898 0.6875
Mg -0.4252 1.5951 3.4725
Mg -0.4252 -1.5951 3.4725
Mg 4.5538 1.8166 2.1771
Mg 2.3666 0.0000 4.0466
Mg 2.8553 -4.0898 0.6875
Mg 4.5538 -1.8166 2.1771
Si 1.3923 2.0231 1.5390
Si 2.0421 2.9408 3.8211
Si 2.6726 0.0000 1.1046
Si 1.3923 -2.0231 1.5390
Si 2.0421 -2.9408 3.8211
Si 6.6631 0.0000 1.8706
```

## Properties
Its total energy after the MP2020 corrections is -44.480 eV per cell. Its crystal system is monoclinic. The calculated formation energy comes out at 0.062 eV/atom. The volume comes out at 263.4 Å³ per cell.

***

Mg5Si6 | PBE-GGA | relaxed

Geometry as extended XYZ:
```
11
Lattice="4.3144 0.0000 0.0000 -0.3126 6.9068 0.0000 -2.0560 -2.6530 6.7870" Properties=species:S:1:pos:R:3 pbc="T T T"
Mg 0.0000 0.0000 0.0000
Mg 0.0843 -1.3560 4.6921
Mg -0.1362 2.0894 5.6966
Mg 2.0820 2.1644 1.0904
Mg 1.8615 5.6098 2.0949
Si -0.2846 4.3276 0.7860
Si -0.0670 0.7626 2.6689
Si -0.1300 3.2173 2.9118
Si 2.0758 1.0365 3.8751
Si 2.0127 3.4912 4.1181
Si 2.2303 -0.0738 6.0010
```

## Properties
Its total energy after the MP2020 corrections is -39.621 eV per cell. Its crystal system is triclinic. The calculated formation energy comes out at 0.085 eV/atom. The volume comes out at 202.2 Å³ per cell.

***

Mg5Si6 | PBE-GGA | relaxed

Geometry as extended XYZ:
```
22
Lattice="5.2692 0.0000 0.0000 -0.0864 5.4087 0.0000 -1.0594 -0.5107 13.8997" Properties=species:S:1:pos:R:3 pbc="T T T"
Mg 0.0000 0.0000 0.0000
Mg -0.5769 3.9514 7.8801
Mg -0.4490 -0.3385 10.8867
Mg -0.2048 2.4374 12.5082
Mg 0.6836 2.7440 4.5798
Mg 1.4420 2.0523 1.5727
Mg 1.4195 1.6196 7.3409
Mg 2.0327 4.7564 9.3372
Mg 3.4211 3.5897 3.1553
Mg 4.6973 0.0240 5.3214
Si 0.7109 4.7030 2.7271
Si 0.2873 2.2777 9.8072
Si 2.0874 0.4580 4.4916
Si 1.9165 4.3282 6.5262
Si 2.4789 4.8097 0.7928
Si 2.1599 1.0560 12.3562
Si 2.2238 4.0609 12.1720
Si 2.9299 2.2079 10.2829
Si 3.5307 2.5908 5.8125
Si 3.9982 0.9150 2.3081
Si 4.1891 2.6245 0.4596
Si 4.0599 1.1182 8.0533
```

## Properties
Its total energy after the MP2020 corrections is -77.202 eV per cell. Its crystal system is triclinic. The calculated formation energy comes out at 0.177 eV/atom. The volume comes out at 396.1 Å³ per cell.

***

Mg3Si4 | PBE-GGA | relaxed

Geometry as extended XYZ:
```
14
Lattice="5.2935 0.0000 0.0000 -1.2355 6.7630 0.0000 -0.9428 -3.1884 7.2456" Properties=species:S:1:pos:R:3 pbc="T T T"
Mg 0.0000 0.0000 0.0000
Mg -0.1028 0.3993 3.3024
Mg 1.1404 2.8456 1.4432
Mg 1.1988 5.9073 1.7778
Mg 2.1707 4.2476 4.3900
Mg 3.1670 0.2333 6.3282
Si -1.1123 2.5154 4.9594
Si -0.3467 4.4274 3.6782
Si 0.2625 -0.9848 5.6622
Si 0.6622 1.3478 6.0704
Si 1.7675 -2.2630 6.9930
Si 2.5497 1.3385 3.5825
Si 3.7812 2.0871 1.5785
Si 3.6222 4.6134 1.7230
```

## Properties
Its total energy after the MP2020 corrections is -51.158 eV per cell. Its crystal system is triclinic. The calculated formation energy comes out at 0.132 eV/atom. The volume comes out at 259.4 Å³ per cell.

***

Mg2Si3 | PBE-GGA | relaxed

Geometry as extended XYZ:
```
20
Lattice="5.6051 0.0000 0.0000 1.5768 5.6300 0.0000 1.0236 0.1008 11.6723" Properties=species:S:1:pos:R:3 pbc="T T T"
Mg 0.0000 0.0000 0.0000
Mg 1.0506 2.7134 0.1520
Mg 1.6408 2.0660 3.1577
Mg 2.0647 1.4442 6.2101
Mg 3.2749 4.1476 6.3792
Mg 3.4480 2.2950 9.0493
Mg 4.4336 2.5940 3.5640
Mg 6.2177 1.7553 8.9779
Si 2.7654 4.6753 2.6725
Si 3.9431 5.2970 8.9227
Si 2.6604 0.3962 1.0528
Si 4.9050 5.5175 4.2141
Si 5.2318 4.5520 10.9018
Si 4.9123 2.2486 11.3592
Si 4.7869 1.7230 6.6296
Si 5.9604 5.1251 7.5112
Si 5.9468 4.4760 2.1381
Si 6.1428 3.7258 5.5849
Si 5.6997 0.2548 4.6404
Si 7.2956 4.3522 9.3732
```

## Properties
Its total energy after the MP2020 corrections is -73.996 eV per cell. Its crystal system is triclinic. The calculated formation energy comes out at 0.195 eV/atom. The volume comes out at 368.3 Å³ per cell.

***

Mg3Si4 | PBE-GGA | relaxed

Geometry as extended XYZ:
```
14
Lattice="3.7243 0.0000 0.0000 -1.7498 8.4642 0.0000 -0.0797 -4.2195 8.6304" Properties=species:S:1:pos:R:3 pbc="T T T"
Mg 0.0000 0.0000 0.0000
Mg -0.1123 -1.1851 6.3460
Mg -0.0033 2.4581 3.2559
Mg 0.0544 5.7911 4.1277
Mg 1.8816 2.9106 0.3750
Mg 1.8787 3.6495 5.6508
Si -0.0274 -0.8109 2.7252
Si -0.0028 1.5122 5.7977
Si 0.0349 4.5686 1.6867
Si 1.7539 -3.1502 6.8817
Si 1.8472 0.6509 2.1012
Si 1.8081 0.1613 4.5201
Si 1.8580 1.2453 7.3243
Si 1.9024 5.8609 1.0784
```

## Properties
Its total energy after the MP2020 corrections is -50.754 eV per cell. Its crystal system is triclinic. The calculated formation energy comes out at 0.161 eV/atom. The volume comes out at 272.1 Å³ per cell.

***

Mg4Si3 | PBE-GGA | relaxed

Geometry as extended XYZ:
```
14
Lattice="4.9512 0.0000 0.0000 2.2344 6.7886 0.0000 0.5271 -0.0047 7.6987" Properties=species:S:1:pos:R:3 pbc="T T T"
Mg 0.0000 0.0000 0.0000
Mg 1.6238 3.7021 1.2080
Mg 2.9519 4.3055 6.0538
Mg 3.6516 4.7149 3.1408
Mg 3.3596 1.9042 4.3530
Mg 5.4143 5.9796 5.6499
Mg 6.0606 6.3358 2.6730
Mg 5.4613 2.6673 6.4787
Si 0.7277 0.1762 4.7635
Si 1.3159 1.1306 2.4196
Si 3.0096 1.5247 7.4492
Si 4.3987 5.1300 0.4787
Si 4.0280 2.2652 1.5582
Si 6.0585 3.5115 3.9100
```

## Properties
Its total energy after the MP2020 corrections is -43.304 eV per cell. Its crystal system is triclinic. The calculated formation energy comes out at 0.146 eV/atom. The volume comes out at 258.8 Å³ per cell.

***

Mg3Si4 | PBE-GGA | relaxed

Geometry as extended XYZ:
```
14
Lattice="5.3470 0.0000 0.0000 1.1472 5.8636 0.0000 0.8915 2.7297 7.9585" Properties=species:S:1:pos:R:3 pbc="T T T"
Mg 0.0000 0.0000 0.0000
Mg 1.4826 5.7142 7.8408
Mg 2.2411 2.4318 4.4721
Mg 2.8720 5.3447 4.4557
Mg 3.6051 3.7491 6.9733
Mg 5.5431 6.1945 3.0773
Si 1.7075 4.0217 2.1796
Si 1.7241 1.0196 2.0013
Si 4.0931 6.6992 6.6130
Si 3.8640 4.8299 0.9454
Si 3.6748 2.4619 1.4861
Si 4.9417 3.2501 3.5212
Si 6.1902 7.4032 5.4911
Si 5.7821 4.4669 5.5821
```

## Properties
Its total energy after the MP2020 corrections is -49.890 eV per cell. Its crystal system is triclinic. The calculated formation energy comes out at 0.222 eV/atom. The volume comes out at 249.5 Å³ per cell.